Entry 1:
DFT (r²SCAN) results for an optimized crystal structure of BaCu2Sb2.

The structure in extended XYZ format:
```
10
Lattice="4.690 0.000 0.000 0.000 4.690 0.000 0.000 0.000 10.778" Properties=species:S:1:pos:R:3 pbc="T T T"
Ba 0.000 2.345 8.210
Ba 2.345 0.000 2.569
Cu 0.000 0.000 0.000
Cu 2.345 2.345 0.000
Cu 0.000 2.345 4.002
Cu 2.345 0.000 6.776
Sb 0.000 0.000 5.389
Sb 2.345 2.345 5.389
Sb 0.000 2.345 1.346
Sb 2.345 0.000 9.432
```

Values from the calculation:
* total energy: -20.44 eV per atom
* space group: P4/nmm, No. 129
* volume: 23.71 Å³ per atom
* total magnetic moment: 0.00 μB per formula unit



Entry 2:
DFT (r²SCAN) results for an optimized crystal structure of K3AsS4.

The structure in extended XYZ format:
```
32
Lattice="9.137 0.000 0.000 0.000 9.371 0.000 0.000 0.000 10.624" Properties=species:S:1:pos:R:3 pbc="T T T"
K 8.602 6.561 0.080
K 0.535 2.810 5.391
K 5.104 1.876 5.391
K 4.033 7.495 0.080
K 8.595 6.578 4.450
K 0.542 2.793 9.762
K 5.111 1.892 9.762
K 4.026 7.479 4.450
K 5.844 3.943 2.280
K 3.293 5.428 7.592
K 7.861 8.629 7.592
K 1.276 0.742 2.280
As 6.589 9.184 2.262
As 2.548 0.187 7.574
As 7.116 4.499 7.574
As 2.021 4.872 2.262
S 6.278 7.035 2.264
S 2.859 2.336 7.576
S 7.427 2.349 7.576
S 1.710 7.022 2.264
S 7.683 0.340 0.469
S 1.454 9.031 5.781
S 6.022 5.025 5.781
S 3.115 4.346 0.469
S 4.654 0.823 2.257
S 4.483 8.548 7.569
S 9.051 5.509 7.569
S 0.086 3.862 2.257
S 7.677 0.348 4.057
S 1.460 9.023 9.369
S 6.029 5.033 9.369
S 3.108 4.338 4.057
```

Values from the calculation:
* total energy: -9.15 eV per atom
* space group: Pna2_1, No. 33
* volume: 28.43 Å³ per atom
* total magnetic moment: 0.00 μB per formula unit



Entry 3:
DFT (r²SCAN) results for an optimized crystal structure of SmSi3Os.

The structure in extended XYZ format:
```
5
Lattice="-2.107 2.107 4.959 2.107 -2.107 4.959 2.107 2.107 -4.959" Properties=species:S:1:pos:R:3 pbc="T T T"
Sm 0.000 0.000 9.893
Si 0.000 0.000 4.162
Si 2.107 0.000 2.591
Si 0.000 2.107 2.591
Os 0.000 0.000 6.490
```

Values from the calculation:
* total energy: -22.47 eV per atom
* space group: I4mm, No. 107
* volume: 17.60 Å³ per atom
* total magnetic moment: 0.00 μB per formula unit



Entry 4:
DFT (r²SCAN) results for an optimized crystal structure of UTe5.

The structure in extended XYZ format:
```
24
Lattice="4.318 0.000 0.000 0.000 10.342 0.000 0.000 0.000 19.090" Properties=species:S:1:pos:R:3 pbc="T T T"
U 1.711 2.544 11.298
U 2.607 7.715 7.792
U 3.870 7.715 17.337
U 0.448 2.544 1.753
Te 2.625 4.502 3.033
Te 1.627 7.851 0.611
Te 0.532 7.851 10.156
Te 0.465 9.673 6.512
Te 0.247 10.275 19.075
Te 2.788 7.774 14.299
Te 2.691 2.681 18.479
Te 0.628 2.604 14.336
Te 2.406 5.104 9.560
Te 1.912 10.275 9.530
Te 1.690 5.821 15.956
Te 4.071 5.104 0.015
Te 0.469 5.821 6.411
Te 1.694 9.673 16.057
Te 3.849 0.650 12.679
Te 3.690 7.774 4.754
Te 2.628 0.650 3.134
Te 3.853 4.502 12.578
Te 3.786 2.681 8.934
Te 1.531 2.604 4.791
```

Values from the calculation:
* total energy: -35.05 eV per atom
* space group: Pna2_1, No. 33
* volume: 35.52 Å³ per atom
* total magnetic moment: 2.00 μB per formula unit